<P>
Na2CuF4: relaxed, GGA-PBE.

a b c (Å): 9.3954 3.3543 5.7028
angles (deg): 86.70 90.00 90.00
Fractional positions:
Cu: 0.0000 0.0000 0.0000
Cu: 0.5000 0.0000 0.5000
F: 0.5498 0.5836 0.7376
F: 0.8092 0.0116 0.8759
F: 0.9502 0.5836 0.2376
F: 0.3092 0.9884 0.6241
F: 0.0498 0.4164 0.7624
F: 0.6908 0.0116 0.3759
F: 0.1908 0.9884 0.1241
F: 0.4502 0.4164 0.2624
Na: 0.3178 0.4814 0.9166
Na: 0.8178 0.5186 0.5834
Na: 0.1822 0.4814 0.4166
Na: 0.6822 0.5186 0.0834

<Q>
Na2CuF4: relaxed, GGA-PBE.

a b c (Å): 6.5004 6.5004 6.5004
angles (deg): 144.73 144.73 50.74
Fractional positions:
F: 0.0000 0.5000 0.5000
F: 0.5000 0.0000 0.5000
F: 0.7500 0.2500 0.5000
F: 0.2500 0.7500 0.5000
Na: 0.3313 0.3313 0.0000
Na: 0.6687 0.6687 0.0000
Cu: 0.0000 0.0000 0.0000

Results
The calculation puts the magnetic moment at 0.02 μB/atom.

Which is most stable? The ranking, best first, is <P>, <Q>.

<P>
Cu3OF5: relaxed, GGA-PBE.

a b c (Å): 4.6122 5.8833 7.6294
angles (deg): 88.86 90.00 90.00
Fractional positions:
O: 0.3119 0.2771 0.2258
O: 0.8119 0.7229 0.7742
F: 0.1923 0.7716 0.2148
F: 0.7977 0.3928 0.4431
F: 0.6923 0.2284 0.7852
F: 0.2967 0.9282 0.8880
F: 0.2018 0.4257 0.8958
F: 0.7967 0.0718 0.1120
F: 0.7157 0.8910 0.4355
F: 0.2157 0.1090 0.5645
F: 0.2977 0.6072 0.5569
F: 0.7018 0.5743 0.1042
Cu: 0.9873 0.7550 0.9894
Cu: 0.5236 0.9052 0.6662
Cu: 0.4873 0.2450 0.0106
Cu: 0.0236 0.0948 0.3338
Cu: 0.9730 0.4425 0.6749
Cu: 0.4730 0.5575 0.3251

Results
The calculation puts the magnetic moment at 0.22 μB/atom.

<Q>
Cu3OF5: relaxed, GGA-PBE.

a b c (Å): 7.8044 5.5236 5.3931
angles (deg): 71.11 106.98 105.57
Fractional positions:
F: 0.9941 0.7662 0.7978
F: 0.0059 0.2338 0.2022
F: 0.3071 0.1446 0.0906
F: 0.6552 0.9193 0.3944
F: 0.9794 0.2817 0.6760
F: 0.6543 0.4324 0.4520
F: 0.6929 0.8554 0.9094
F: 0.3448 0.0807 0.6056
F: 0.3457 0.5676 0.5480
F: 0.0206 0.7183 0.3240
O: 0.6585 0.3279 0.9855
O: 0.3415 0.6721 0.0145
Cu: 0.8212 0.3235 0.3165
Cu: 0.3371 0.3772 0.3022
Cu: 0.5000 0.0000 0.0000
Cu: 0.6629 0.6228 0.6978
Cu: 0.1788 0.6765 0.6835
Cu: 0.0000 0.0000 0.0000

<R>
Cu3OF5: relaxed, GGA-PBE.

a b c (Å): 5.3853 5.7409 7.2333
angles (deg): 78.61 74.91 74.86
Fractional positions:
F: 0.2279 0.2239 0.4880
F: 0.3101 0.7187 0.4842
F: 0.4601 0.4645 0.8493
F: 0.3663 0.9569 0.8570
F: 0.7721 0.7761 0.5120
F: 0.0148 0.5976 0.1758
F: 0.6899 0.2813 0.5158
F: 0.6337 0.0431 0.1430
F: 0.9852 0.4024 0.8242
F: 0.5399 0.5355 0.1507
O: 0.9080 0.9081 0.7952
O: 0.0920 0.0919 0.2048
Cu: 0.0000 0.0000 0.0000
Cu: 0.3403 0.3434 0.6698
Cu: 0.3118 0.3088 0.1611
Cu: 0.6882 0.6912 0.8389
Cu: 0.6597 0.6566 0.3302
Cu: 0.0000 0.0000 0.5000

Results
The calculation puts the magnetic moment at 0.17 μB/atom.

Which is most stable? The ranking, best first, is <Q>, <P>, <R>.